Entry 1:
The following is a r2SCAN calculation of an optimized crystal structure of TiZnGa2, from Materials Project.

Calculated values
Total magnetization, μB/f.u.: 0.00
Total DFT energy (no corrections), eV per atom: -11.5933
Calculated density, g cm⁻³: 7.1
Formation enthalpy at 0 K, meV per atom: -410

Cell lengths 3.930, 3.930, 3.850 Å; angles 90.00, 90.00, 90.00 degrees
Sites, in units of the cell vectors:
Ga1 0.500 0.000 0.500
Ga2 0.000 0.500 0.500
Ti1 0.000 0.000 0.000
Zn1 0.500 0.500 0.000


Entry 2:
The following is a r2SCAN calculation of an optimized crystal structure of B3Ru2, from Materials Project.

Calculated values
Total magnetization, μB/f.u.: 0.00
Total DFT energy (no corrections), eV per atom: -14.9301
Calculated density, g cm⁻³: 8.3
Formation enthalpy at 0 K, meV per atom: -352

Cell lengths 2.910, 2.910, 12.781 Å; angles 90.00, 90.00, 120.00 degrees
Sites, in units of the cell vectors:
B1 0.333 0.667 0.750
B2 0.333 0.667 0.531
B3 0.667 0.333 0.250
B4 0.667 0.333 0.469
B5 0.333 0.667 0.969
B6 0.667 0.333 0.031
Ru1 0.333 0.667 0.140
Ru2 0.333 0.667 0.360
Ru3 0.667 0.333 0.640
Ru4 0.667 0.333 0.860


Entry 3:
The following is a r2SCAN calculation of an optimized crystal structure of Ti4CN3, from Materials Project.

Calculated values
Total magnetization, μB/f.u.: 0.00
Total DFT energy (no corrections), eV per atom: -12.8515
Calculated density, g cm⁻³: 5.3
Formation enthalpy at 0 K, meV per atom: -1716

Cell lengths 10.009, 10.009, 10.009 Å; angles 17.31, 17.31, 17.31 degrees
Sites, in units of the cell vectors:
Ti1 0.125 0.125 0.125
Ti2 0.374 0.374 0.374
Ti3 0.875 0.875 0.875
Ti4 0.626 0.626 0.626
N1 0.251 0.251 0.251
N2 0.749 0.749 0.749
N3 0.000 0.000 0.000
C1 0.500 0.500 0.500


Entry 4:
The following is a r2SCAN calculation of an optimized crystal structure of ZrPt, from Materials Project.

Calculated values
Total magnetization, μB/f.u.: 0.00
Total DFT energy (no corrections), eV per atom: -38.3503
Calculated density, g cm⁻³: 12.4
Formation enthalpy at 0 K, meV per atom: -1232

Cell lengths 3.433, 4.282, 5.479 Å; angles 90.00, 108.26, 90.00 degrees
Sites, in units of the cell vectors:
Zr1 0.141 0.250 0.282
Zr2 0.859 0.750 0.718
Pt1 0.592 0.750 0.185
Pt2 0.408 0.250 0.815